(1)
# RbTiAsO5 (r²SCAN, optimized geometry)
data_RbTiAsO5
_chemical_formula_sum 'Rb8 Ti8 As8 O40'
_cell_length_a 13.291
_cell_length_b 6.708
_cell_length_c 10.762
_cell_angle_alpha 90.00
_cell_angle_beta 90.00
_cell_angle_gamma 90.00
_symmetry_space_group_name_H-M 'P n a 21'
_symmetry_Int_Tables_number 33
_symmetry_space_group_name_Hall 'P 2c -2n'
loop_
_atom_site_label
_atom_site_fract_x
_atom_site_fract_y
_atom_site_fract_z
Rb1 0.110 0.192 0.000
Rb2 0.118 0.782 0.248
Ti1 0.128 0.504 0.567
Ti2 0.247 0.762 0.818
As1 0.001 0.331 0.313
As2 0.179 0.007 0.561
O1 0.010 0.536 0.680
O2 0.013 0.493 0.431
O3 0.100 0.821 0.836
O4 0.105 0.187 0.293
O5 0.107 0.207 0.594
O6 0.109 0.805 0.525
O7 0.218 0.449 0.435
O8 0.218 0.564 0.684
O9 0.241 0.543 0.938
O10 0.243 0.463 0.183
# ΔE_f = -2.3426 eV per atom
# E = -11.272 eV per atom
# total magnetic moment = 0.00 μB/f.u.

(2)
# PmEuPd2 (r²SCAN, optimized geometry)
data_PmEuPd2
_chemical_formula_sum 'Pm4 Eu4 Pd8'
_cell_length_a 7.179
_cell_length_b 7.179
_cell_length_c 7.179
_cell_angle_alpha 90.00
_cell_angle_beta 90.00
_cell_angle_gamma 90.00
_symmetry_space_group_name_H-M 'F m -3 m'
_symmetry_Int_Tables_number 225
_symmetry_space_group_name_Hall '-F 4 2 3'
loop_
_atom_site_label
_atom_site_fract_x
_atom_site_fract_y
_atom_site_fract_z
Pm1 0.000 0.000 0.000
Eu1 0.000 0.000 0.500
Pd1 0.250 0.250 0.250
# ΔE_f = -0.7531 eV per atom
# E = -29.249 eV per atom
# total magnetic moment = 7.14 μB/f.u.

(3)
# CeZn2Au4 (r²SCAN, optimized geometry)
data_CeZn2Au4
_chemical_formula_sum 'Ce2 Zn4 Au8'
_cell_length_a 7.011
_cell_length_b 7.011
_cell_length_c 5.345
_cell_angle_alpha 90.00
_cell_angle_beta 90.00
_cell_angle_gamma 90.00
_symmetry_space_group_name_H-M 'I 4/m m m'
_symmetry_Int_Tables_number 139
_symmetry_space_group_name_Hall '-I 4 2'
loop_
_atom_site_label
_atom_site_fract_x
_atom_site_fract_y
_atom_site_fract_z
Ce1 0.000 0.000 0.000
Zn1 0.000 0.500 0.250
Au1 0.198 0.198 0.500
# ΔE_f = -0.5488 eV per atom
# E = -36.406 eV per atom
# total magnetic moment = 0.96 μB/f.u.

> Which value of E does entry 3 give?

-36.406 eV per atom

> ΔE_f of number 2 (PmEuPd2)?

-0.7531 eV per atom

Repeat the second record exactly.
# PmEuPd2 (r²SCAN, optimized geometry)
data_PmEuPd2
_chemical_formula_sum 'Pm4 Eu4 Pd8'
_cell_length_a 7.179
_cell_length_b 7.179
_cell_length_c 7.179
_cell_angle_alpha 90.00
_cell_angle_beta 90.00
_cell_angle_gamma 90.00
_symmetry_space_group_name_H-M 'F m -3 m'
_symmetry_Int_Tables_number 225
_symmetry_space_group_name_Hall '-F 4 2 3'
loop_
_atom_site_label
_atom_site_fract_x
_atom_site_fract_y
_atom_site_fract_z
Pm1 0.000 0.000 0.000
Eu1 0.000 0.000 0.500
Pd1 0.250 0.250 0.250
# ΔE_f = -0.7531 eV per atom
# E = -29.249 eV per atom
# total magnetic moment = 7.14 μB/f.u.